Arrangement w

Here is an optimized crystal structure of MgCo6O8F4 from Materials Project. Energies are from GGA+U.

- Magnetic moment: 18.00 μB/f.u.
- SG: P1
- V: 212.0 Å³/cell

The structure in CIF format:
```
data_MgCo6O8F4
_space_group_name_H-M_alt 'P 1'
_space_group_IT_number 1
_space_group_name_Hall 'P 1'
_cell_length_a 8.286
_cell_length_b 5.858
_cell_length_c 5.712
_cell_angle_alpha 66.35
_cell_angle_beta 63.28
_cell_angle_gamma 61.88
loop_
_atom_site_label
_atom_site_type_symbol
_atom_site_fract_x
_atom_site_fract_y
_atom_site_fract_z
Mg1 Mg 0.834 0.188 0.648
Co1 Co 0.864 0.672 0.681
Co2 Co 0.300 0.670 0.672
Co3 Co 0.635 0.348 0.301
Co4 Co 0.216 0.344 0.350
Co5 Co 0.480 0.992 0.988
Co6 Co 0.027 0.974 0.011
O1 O 0.325 0.354 0.983
O2 O 0.671 0.025 0.632
O3 O 0.368 0.437 0.438
O4 O 0.036 0.802 0.752
O5 O 0.338 0.982 0.355
O6 O 0.666 0.637 0.019
O7 O 0.011 0.304 0.692
O8 O 0.022 0.677 0.319
F1 F 0.615 0.527 0.567
F2 F 0.316 0.872 0.891
F3 F 0.934 0.220 0.251
F4 F 0.718 0.117 0.058
```

Arrangement x

Here is an optimized crystal structure of MgCo6O8F4 from Materials Project. Energies are from GGA+U.

- Magnetic moment: 18.00 μB/f.u.
- SG: P1
- V: 212.2 Å³/cell

The structure in CIF format:
```
data_MgCo6O8F4
_space_group_name_H-M_alt 'P 1'
_space_group_IT_number 1
_space_group_name_Hall 'P 1'
_cell_length_a 5.010
_cell_length_b 7.623
_cell_length_c 5.799
_cell_angle_alpha 100.21
_cell_angle_beta 101.13
_cell_angle_gamma 81.10
loop_
_atom_site_label
_atom_site_type_symbol
_atom_site_fract_x
_atom_site_fract_y
_atom_site_fract_z
Mg1 Mg 0.478 0.013 0.984
Co1 Co 0.545 0.005 0.476
Co2 Co 0.576 0.364 0.779
Co3 Co 0.482 0.649 0.183
Co4 Co 0.992 0.649 0.666
Co5 Co 0.981 0.311 0.343
Co6 Co 0.986 0.991 0.012
O1 O 0.816 0.431 0.619
O2 O 0.791 0.093 0.262
O3 O 0.701 0.763 0.464
O4 O 0.699 0.102 0.792
O5 O 0.701 0.433 0.125
O6 O 0.295 0.568 0.878
O7 O 0.321 0.227 0.525
O8 O 0.314 0.894 0.202
F1 F 0.767 0.778 0.941
F2 F 0.188 0.213 0.049
F3 F 0.185 0.900 0.740
F4 F 0.183 0.553 0.388
```

Arrangement y

Here is an optimized crystal structure of MgCo6O8F4 from Materials Project. Energies are from GGA+U.

- Magnetic moment: 20.00 μB/f.u.
- SG: P1
- V: 203.5 Å³/cell

The structure in CIF format:
```
data_MgCo6O8F4
_space_group_name_H-M_alt 'P 1'
_space_group_IT_number 1
_space_group_name_Hall 'P 1'
_cell_length_a 7.015
_cell_length_b 5.891
_cell_length_c 5.749
_cell_angle_alpha 64.76
_cell_angle_beta 73.85
_cell_angle_gamma 74.73
loop_
_atom_site_label
_atom_site_type_symbol
_atom_site_fract_x
_atom_site_fract_y
_atom_site_fract_z
Mg1 Mg 0.162 0.576 0.097
Co1 Co 0.820 0.690 0.664
Co2 Co 0.340 0.601 0.560
Co3 Co 0.666 0.347 0.318
Co4 Co 0.170 0.136 0.526
Co5 Co 0.511 0.021 0.966
Co6 Co 0.994 0.096 0.075
O1 O 0.339 0.371 0.884
O2 O 0.662 0.059 0.630
O3 O 0.970 0.297 0.269
O4 O 0.363 0.400 0.364
O5 O 0.333 0.940 0.331
O6 O 0.675 0.637 0.001
O7 O 0.004 0.314 0.735
O8 O 0.990 0.774 0.323
F1 F 0.640 0.579 0.516
F2 F 0.297 0.902 0.879
F3 F 0.037 0.794 0.768
F4 F 0.693 0.127 0.106
```

arrangement w is the most stable structure; the next one sits 31 meV/atom above it.

Arrangement w

Here is an optimized crystal structure of LiMn6O4F8 from Materials Project. Energies are from GGA+U.

- Magnetic moment: 27.00 μB/f.u.
- SG: P1
- V: 233.2 Å³/cell

The structure in CIF format:
```
data_LiMn6O4F8
_space_group_name_H-M_alt 'P 1'
_space_group_IT_number 1
_space_group_name_Hall 'P 1'
_cell_length_a 4.998
_cell_length_b 7.996
_cell_length_c 5.851
_cell_angle_alpha 94.07
_cell_angle_beta 89.88
_cell_angle_gamma 89.53
loop_
_atom_site_label
_atom_site_type_symbol
_atom_site_fract_x
_atom_site_fract_y
_atom_site_fract_z
Li1 Li 0.111 0.677 0.108
Mn1 Mn 0.488 0.007 0.501
Mn2 Mn 0.602 0.652 0.200
Mn3 Mn 0.496 0.336 0.830
Mn4 Mn 0.956 0.683 0.663
Mn5 Mn 0.019 0.323 0.346
Mn6 Mn 0.985 0.999 0.000
O1 O 0.808 0.763 0.985
O2 O 0.683 0.795 0.468
O3 O 0.695 0.429 0.097
O4 O 0.316 0.228 0.556
F1 F 0.782 0.442 0.610
F2 F 0.784 0.103 0.304
F3 F 0.703 0.111 0.797
F4 F 0.275 0.560 0.859
F5 F 0.287 0.884 0.200
F6 F 0.208 0.571 0.360
F7 F 0.210 0.224 0.044
F8 F 0.204 0.904 0.698
```

Arrangement x

Here is an optimized crystal structure of LiMn6O4F8 from Materials Project. Energies are from GGA+U.

- Magnetic moment: 27.00 μB/f.u.
- SG: P1
- V: 235.3 Å³/cell

The structure in CIF format:
```
data_LiMn6O4F8
_space_group_name_H-M_alt 'P 1'
_space_group_IT_number 1
_space_group_name_Hall 'P 1'
_cell_length_a 5.009
_cell_length_b 7.977
_cell_length_c 5.912
_cell_angle_alpha 94.63
_cell_angle_beta 88.50
_cell_angle_gamma 90.12
loop_
_atom_site_label
_atom_site_type_symbol
_atom_site_fract_x
_atom_site_fract_y
_atom_site_fract_z
Li1 Li 0.000 0.523 0.021
Mn1 Mn 0.506 0.003 0.515
Mn2 Mn 0.547 0.671 0.174
Mn3 Mn 0.501 0.333 0.838
Mn4 Mn 0.959 0.693 0.640
Mn5 Mn 0.061 0.316 0.383
Mn6 Mn 0.986 0.984 0.021
O1 O 0.819 0.745 0.974
O2 O 0.668 0.789 0.464
O3 O 0.654 0.439 0.102
O4 O 0.349 0.224 0.568
F1 F 0.814 0.435 0.639
F2 F 0.816 0.101 0.332
F3 F 0.697 0.102 0.827
F4 F 0.284 0.554 0.818
F5 F 0.321 0.913 0.203
F6 F 0.173 0.576 0.320
F7 F 0.172 0.248 0.040
F8 F 0.200 0.910 0.704
```

arrangement x is the most stable structure; the next one sits 25 meV/atom above it.

Arrangement w

Here is an optimized crystal structure of V3OF11 from Materials Project. Energies are from GGA+U.

- SG: P-1
- V: 417.0 Å³/cell

The structure in CIF format:
```
data_V3OF11
_space_group_name_H-M_alt 'P 1'
_space_group_IT_number 1
_space_group_name_Hall 'P 1'
_cell_length_a 5.259
_cell_length_b 5.462
_cell_length_c 14.751
_cell_angle_alpha 100.27
_cell_angle_beta 90.03
_cell_angle_gamma 90.25
loop_
_atom_site_label
_atom_site_type_symbol
_atom_site_fract_x
_atom_site_fract_y
_atom_site_fract_z
V1 V 0.025 0.792 0.663
V2 V 0.492 0.678 0.332
V3 V 0.000 0.500 0.000
V4 V 0.508 0.322 0.668
V5 V 0.975 0.208 0.337
V6 V 0.500 0.000 0.000
O1 O 0.795 0.459 0.356
O2 O 0.205 0.541 0.644
F1 F 0.803 0.811 0.025
F2 F 0.714 0.637 0.691
F3 F 0.303 0.689 0.976
F4 F 0.906 0.803 0.552
F5 F 0.590 0.617 0.216
F6 F 0.913 0.461 0.883
F7 F 0.423 0.704 0.451
F8 F 0.087 0.539 0.117
F9 F 0.410 0.383 0.784
F10 F 0.697 0.311 0.024
F11 F 0.793 0.141 0.691
F12 F 0.286 0.363 0.309
F13 F 0.197 0.189 0.975
F14 F 0.577 0.296 0.549
F15 F 0.926 0.106 0.217
F16 F 0.586 0.958 0.882
F17 F 0.094 0.197 0.448
F18 F 0.414 0.042 0.118
F19 F 0.074 0.894 0.783
F20 F 0.708 0.978 0.358
F21 F 0.292 0.022 0.642
F22 F 0.207 0.859 0.309
```

Arrangement x

Here is an optimized crystal structure of V3OF11 from Materials Project. Energies are from GGA+U.

- Magnetic moment: 0.99 μB/f.u.
- SG: P1
- V: 417.9 Å³/cell

The structure in CIF format:
```
data_V3OF11
_space_group_name_H-M_alt 'P 1'
_space_group_IT_number 1
_space_group_name_Hall 'P 1'
_cell_length_a 5.273
_cell_length_b 5.456
_cell_length_c 14.763
_cell_angle_alpha 79.68
_cell_angle_beta 89.95
_cell_angle_gamma 89.92
loop_
_atom_site_label
_atom_site_type_symbol
_atom_site_fract_x
_atom_site_fract_y
_atom_site_fract_z
V1 V 0.005 0.998 0.001
V2 V 0.508 0.845 0.334
V3 V 0.000 0.667 0.666
V4 V 0.510 0.500 0.994
V5 V 0.026 0.375 0.330
V6 V 0.500 0.167 0.666
O1 O 0.581 0.545 0.886
O2 O 0.205 0.625 0.310
F1 F 0.198 0.977 0.642
F2 F 0.298 0.803 0.976
F3 F 0.699 0.857 0.691
F4 F 0.081 0.956 0.119
F5 F 0.413 0.784 0.451
F6 F 0.086 0.625 0.784
F7 F 0.578 0.872 0.215
F8 F 0.913 0.706 0.549
F9 F 0.302 0.477 0.642
F10 F 0.208 0.304 0.976
F11 F 0.792 0.694 0.026
F12 F 0.714 0.530 0.357
F13 F 0.802 0.356 0.692
F14 F 0.408 0.459 0.116
F15 F 0.072 0.273 0.450
F16 F 0.413 0.124 0.784
F17 F 0.907 0.365 0.218
F18 F 0.585 0.209 0.549
F19 F 0.912 0.042 0.885
F20 F 0.290 0.143 0.309
F21 F 0.703 0.197 0.026
F22 F 0.792 0.028 0.357
```

Arrangement y

Here is an optimized crystal structure of V3OF11 from Materials Project. Energies are from GGA+U.

- Magnetic moment: 2.00 μB/f.u.
- SG: P-1
- V: 411.2 Å³/cell

The structure in CIF format:
```
data_V3OF11
_space_group_name_H-M_alt 'P 1'
_space_group_IT_number 1
_space_group_name_Hall 'P 1'
_cell_length_a 5.199
_cell_length_b 5.351
_cell_length_c 15.029
_cell_angle_alpha 100.25
_cell_angle_beta 89.73
_cell_angle_gamma 91.63
loop_
_atom_site_label
_atom_site_type_symbol
_atom_site_fract_x
_atom_site_fract_y
_atom_site_fract_z
V1 V 0.000 0.000 0.000
V2 V 0.500 0.500 0.333
V3 V 0.000 0.000 0.667
V4 V 0.500 0.500 0.000
V5 V 0.000 0.000 0.333
V6 V 0.500 0.500 0.667
O1 O 0.232 0.286 0.987
O2 O 0.768 0.714 0.013
F1 F 0.187 0.353 0.638
F2 F 0.273 0.812 0.973
F3 F 0.690 0.158 0.690
F4 F 0.075 0.810 0.118
F5 F 0.407 0.341 0.448
F6 F 0.092 0.857 0.781
F7 F 0.591 0.663 0.219
F8 F 0.908 0.143 0.552
F9 F 0.574 0.650 0.883
F10 F 0.187 0.352 0.305
F11 F 0.310 0.842 0.643
F12 F 0.690 0.158 0.357
F13 F 0.813 0.648 0.695
F14 F 0.426 0.350 0.117
F15 F 0.092 0.857 0.448
F16 F 0.409 0.337 0.781
F17 F 0.908 0.143 0.219
F18 F 0.593 0.659 0.552
F19 F 0.925 0.190 0.882
F20 F 0.310 0.842 0.310
F21 F 0.727 0.188 0.027
F22 F 0.813 0.647 0.362
```

Arrangement z

Here is an optimized crystal structure of V3OF11 from Materials Project. Energies are from GGA+U.

- Magnetic moment: 0.00 μB/f.u.
- SG: P1
- V: 429.5 Å³/cell

The structure in CIF format:
```
data_V3OF11
_space_group_name_H-M_alt 'P 1'
_space_group_IT_number 1
_space_group_name_Hall 'P 1'
_cell_length_a 5.295
_cell_length_b 5.482
_cell_length_c 15.041
_cell_angle_alpha 79.66
_cell_angle_beta 89.75
_cell_angle_gamma 89.59
loop_
_atom_site_label
_atom_site_type_symbol
_atom_site_fract_x
_atom_site_fract_y
_atom_site_fract_z
V1 V 0.995 0.970 0.993
V2 V 0.500 0.166 0.667
V3 V 0.000 0.334 0.333
V4 V 0.478 0.446 0.004
V5 V 0.000 0.666 0.667
V6 V 0.500 0.834 0.333
O1 O 0.295 0.203 0.025
O2 O 0.092 0.063 0.890
F1 F 0.201 0.026 0.357
F2 F 0.702 0.141 0.310
F3 F 0.417 0.209 0.551
F4 F 0.086 0.377 0.218
F5 F 0.583 0.125 0.782
F6 F 0.917 0.292 0.449
F7 F 0.589 0.473 0.113
F8 F 0.200 0.358 0.690
F9 F 0.299 0.527 0.357
F10 F 0.207 0.692 0.027
F11 F 0.777 0.295 0.975
F12 F 0.701 0.473 0.643
F13 F 0.799 0.641 0.309
F14 F 0.420 0.564 0.889
F15 F 0.084 0.708 0.551
F16 F 0.418 0.877 0.218
F17 F 0.917 0.625 0.782
F18 F 0.583 0.792 0.448
F19 F 0.929 0.986 0.111
F20 F 0.298 0.860 0.690
F21 F 0.714 0.802 0.975
F22 F 0.799 0.974 0.643
```

arrangement w is the most stable structure; the next one sits 17 meV/atom above it.

Arrangement w

Here is an optimized crystal structure of V3OF11 from Materials Project. Energies are from GGA+U.

- SG: P2_1
- V: 418.5 Å³/cell

The structure in CIF format:
```
data_V3OF11
_space_group_name_H-M_alt 'P 1'
_space_group_IT_number 1
_space_group_name_Hall 'P 1'
_cell_length_a 5.258
_cell_length_b 5.458
_cell_length_c 14.819
_cell_angle_alpha 79.73
_cell_angle_beta 90.00
_cell_angle_gamma 90.00
loop_
_atom_site_label
_atom_site_type_symbol
_atom_site_fract_x
_atom_site_fract_y
_atom_site_fract_z
V1 V 0.024 0.043 0.836
V2 V 0.524 0.957 0.164
V3 V 0.000 0.750 0.500
V4 V 0.507 0.572 0.833
V5 V 0.007 0.428 0.167
V6 V 0.500 0.250 0.500
O1 O 0.205 0.792 0.856
O2 O 0.705 0.208 0.144
F1 F 0.803 0.062 0.475
F2 F 0.712 0.888 0.809
F3 F 0.303 0.938 0.525
F4 F 0.906 0.051 0.948
F5 F 0.573 0.856 0.282
F6 F 0.913 0.711 0.617
F7 F 0.406 0.949 0.052
F8 F 0.086 0.792 0.383
F9 F 0.412 0.631 0.716
F10 F 0.791 0.727 0.141
F11 F 0.697 0.561 0.475
F12 F 0.794 0.389 0.810
F13 F 0.294 0.611 0.190
F14 F 0.197 0.439 0.525
F15 F 0.577 0.546 0.951
F16 F 0.912 0.369 0.284
F17 F 0.586 0.208 0.617
F18 F 0.077 0.454 0.049
F19 F 0.413 0.289 0.383
F20 F 0.073 0.144 0.718
F21 F 0.291 0.273 0.859
F22 F 0.212 0.112 0.191
```

Arrangement x

Here is an optimized crystal structure of V3OF11 from Materials Project. Energies are from GGA+U.

- Magnetic moment: 0.01 μB/f.u.
- SG: P1
- V: 418.3 Å³/cell

The structure in CIF format:
```
data_V3OF11
_space_group_name_H-M_alt 'P 1'
_space_group_IT_number 1
_space_group_name_Hall 'P 1'
_cell_length_a 5.270
_cell_length_b 5.454
_cell_length_c 14.790
_cell_angle_alpha 100.28
_cell_angle_beta 90.01
_cell_angle_gamma 90.09
loop_
_atom_site_label
_atom_site_type_symbol
_atom_site_fract_x
_atom_site_fract_y
_atom_site_fract_z
V1 V 0.991 0.000 0.006
V2 V 0.525 0.126 0.330
V3 V 0.000 0.333 0.667
V4 V 0.496 0.498 0.999
V5 V 0.008 0.655 0.334
V6 V 0.500 0.834 0.667
O1 O 0.918 0.045 0.114
O2 O 0.705 0.875 0.311
F1 F 0.801 0.024 0.642
F2 F 0.708 0.194 0.974
F3 F 0.301 0.144 0.692
F4 F 0.573 0.227 0.449
F5 F 0.913 0.377 0.784
F6 F 0.408 0.135 0.218
F7 F 0.084 0.291 0.549
F8 F 0.418 0.457 0.881
F9 F 0.789 0.357 0.309
F10 F 0.699 0.524 0.642
F11 F 0.797 0.698 0.974
F12 F 0.202 0.303 0.024
F13 F 0.293 0.472 0.357
F14 F 0.199 0.643 0.691
F15 F 0.588 0.542 0.116
F16 F 0.912 0.716 0.451
F17 F 0.587 0.875 0.784
F18 F 0.076 0.629 0.216
F19 F 0.414 0.794 0.550
F20 F 0.090 0.958 0.885
F21 F 0.293 0.804 0.024
F22 F 0.214 0.970 0.357
```

arrangement w is the most stable structure; the next one sits 24 meV/atom above it.

Arrangement w

Here is an optimized crystal structure of Na8MgCo2O8 from Materials Project. Energies are from GGA+U.

- Magnetic moment: 8.00 μB/f.u.
- SG: P1
- V: 265.0 Å³/cell

The structure in CIF format:
```
data_Na8MgCo2O8
_space_group_name_H-M_alt 'P 1'
_space_group_IT_number 1
_space_group_name_Hall 'P 1'
_cell_length_a 5.805
_cell_length_b 5.739
_cell_length_c 9.134
_cell_angle_alpha 68.07
_cell_angle_beta 83.23
_cell_angle_gamma 69.89
loop_
_atom_site_label
_atom_site_type_symbol
_atom_site_fract_x
_atom_site_fract_y
_atom_site_fract_z
Na1 Na 0.974 0.765 0.343
Na2 Na 0.543 0.403 0.822
Na3 Na 0.508 0.206 0.450
Na4 Na 0.430 0.036 0.780
Na5 Na 0.996 0.239 0.561
Na6 Na 0.471 0.803 0.159
Na7 Na 0.903 0.372 0.192
Na8 Na 0.977 0.627 0.761
Mg1 Mg 0.355 0.295 0.131
Co1 Co 0.991 0.010 0.990
Co2 Co 0.446 0.705 0.492
O1 O 0.707 0.184 0.093
O2 O 0.693 0.522 0.379
O3 O 0.265 0.052 0.339
O4 O 0.256 0.481 0.578
O5 O 0.586 0.779 0.634
O6 O 0.212 0.209 0.973
O7 O 0.866 0.029 0.811
O8 O 0.171 0.659 0.117
```

Arrangement x

Here is an optimized crystal structure of Na8MgCo2O8 from Materials Project. Energies are from GGA+U.

- Magnetic moment: 8.00 μB/f.u.
- SG: P1
- V: 266.6 Å³/cell

The structure in CIF format:
```
data_Na8MgCo2O8
_space_group_name_H-M_alt 'P 1'
_space_group_IT_number 1
_space_group_name_Hall 'P 1'
_cell_length_a 5.786
_cell_length_b 5.870
_cell_length_c 8.856
_cell_angle_alpha 72.19
_cell_angle_beta 80.06
_cell_angle_gamma 68.94
loop_
_atom_site_label
_atom_site_type_symbol
_atom_site_fract_x
_atom_site_fract_y
_atom_site_fract_z
Na1 Na 0.945 0.745 0.310
Na2 Na 0.472 0.370 0.936
Na3 Na 0.460 0.237 0.326
Na4 Na 0.433 0.084 0.728
Na5 Na 0.915 0.445 0.635
Na6 Na 0.428 0.856 0.143
Na7 Na 0.977 0.317 0.179
Na8 Na 0.035 0.627 0.844
Mg1 Mg 0.888 0.057 0.530
Co1 Co 0.978 0.002 0.974
Co2 Co 0.454 0.695 0.494
O1 O 0.715 0.079 0.121
O2 O 0.720 0.434 0.407
O3 O 0.195 0.975 0.379
O4 O 0.275 0.517 0.631
O5 O 0.660 0.861 0.539
O6 O 0.182 0.188 0.947
O7 O 0.872 0.057 0.761
O8 O 0.174 0.653 0.071
```

arrangement w is the most stable structure; the next one sits 9 meV/atom above it.